Density functional theory data (GGA-PBE) for crystalline Na8H10S8O17 at its relaxed geometry.

a b c (Å): 11.612 11.390 17.566
angles (deg): 90.00 94.93 90.00
Space group P2_1/c (No. 14)
Unique sites:
Na1 0.010 0.114 0.252 [4 per cell]
Na2 0.011 0.642 0.894 [4 per cell]
Na3 0.014 0.142 0.899 [4 per cell]
Na4 0.157 0.627 0.090 [4 per cell]
Na5 0.162 0.127 0.093 [4 per cell]
Na6 0.315 0.600 0.904 [4 per cell]
Na7 0.324 0.101 0.910 [4 per cell]
Na8 0.331 0.632 0.246 [4 per cell]
H1 0.362 0.218 0.037 [4 per cell]
H2 0.405 0.707 0.095 [4 per cell]
H3 0.409 0.131 0.102 [4 per cell]
H4 0.412 0.568 0.097 [4 per cell]
H5 0.421 0.626 0.530 [4 per cell]
H6 0.426 0.100 0.527 [4 per cell]
H7 0.427 0.063 0.223 [4 per cell]
H8 0.428 0.617 0.620 [4 per cell]
H9 0.430 0.201 0.222 [4 per cell]
H10 0.437 0.112 0.617 [4 per cell]
S1 0.144 0.616 0.452 [4 per cell]
S2 0.148 0.113 0.456 [4 per cell]
S3 0.182 0.621 0.732 [4 per cell]
S4 0.184 0.123 0.735 [4 per cell]
S5 0.303 0.646 0.415 [4 per cell]
S6 0.306 0.148 0.422 [4 per cell]
S7 0.357 0.615 0.738 [4 per cell]
S8 0.359 0.120 0.736 [4 per cell]
O1 0.054 0.642 0.389 [4 per cell]
O2 0.057 0.141 0.393 [4 per cell]
O3 0.129 0.696 0.517 [4 per cell]
O4 0.130 0.187 0.523 [4 per cell]
O5 0.130 0.530 0.680 [4 per cell]
O6 0.136 0.234 0.700 [4 per cell]
O7 0.137 0.020 0.690 [4 per cell]
O8 0.138 0.009 0.975 [4 per cell]
O9 0.143 0.515 0.975 [4 per cell]
O10 0.144 0.740 0.704 [4 per cell]
O11 0.148 0.600 0.811 [4 per cell]
O12 0.156 0.113 0.816 [4 per cell]
O13 0.355 0.137 0.055 [4 per cell]
O14 0.362 0.635 0.108 [4 per cell]
O15 0.469 0.647 0.577 [4 per cell]
O16 0.470 0.130 0.204 [4 per cell]
O17 0.477 0.082 0.574 [4 per cell]

V in Å³/atom: 13.457
Total moment in μB per formula unit: 0.0
Total energy after the MP2020 corrections in eV per atom: -5.3286
Calculated total energy in eV per cell: -869.80
Crystal system: monoclinic
Energy relative to the elements in meV per atom: -1568